1.
Below is crystalline P4W3O14 at its relaxed geometry, with properties calculated at the PBE with a Hubbard U level.

Unit cell a=8.1404 b=7.6386 c=9.7532 alpha=71.11 beta=90.00 gamma=90.00
With the nearest neighbours (Å) after each atom.
Atoms (fractional coordinates):
O 0.1373 0.1544 0.6216  1 P 1.50
O 0.2101 0.9986 0.3582  1 P 1.56
O 0.8627 0.8456 0.3784  1 P 1.50
O 0.3627 0.1544 0.1216  1 P 1.50
O 0.8389 0.3895 0.0787  1 P 1.52
O 0.4269 0.0418 0.6116  1 P 1.58
O 0.1611 0.6105 0.9213  1 P 1.52
O 0.1478 0.6836 0.6493  1 P 1.53
O 0.1169 0.3104 0.2062  2 P 1.59-1.67
O 0.5731 0.9582 0.3884  1 P 1.58
O 0.3522 0.6836 0.1493  1 P 1.53
O 0.2899 0.9986 0.8582  1 P 1.56
O 0.8831 0.6896 0.7938  2 P 1.59-1.67
O 0.0185 0.3877 0.8140  1 P 1.52
O 0.4815 0.3877 0.3140  1 P 1.52
O 0.5185 0.6123 0.6860  1 P 1.52
O 0.0731 0.0418 0.1116  1 P 1.58
O 0.6478 0.3164 0.8507  1 P 1.53
O 0.7101 0.0014 0.1418  1 P 1.56
O 0.9815 0.6123 0.1860  1 P 1.52
O 0.8522 0.3164 0.3507  1 P 1.53
O 0.3389 0.6105 0.4213  1 P 1.52
O 0.3831 0.3104 0.7062  2 P 1.59-1.67
O 0.7899 0.0014 0.6418  1 P 1.56
O 0.9269 0.9582 0.8884  1 P 1.58
O 0.6169 0.6896 0.2938  2 P 1.59-1.67
O 0.6611 0.3895 0.5787  1 P 1.52
O 0.6373 0.8456 0.8784  1 P 1.50
W 0.6305 0.1955 0.4711  6 O 2.09-2.26
W 0.0000 0.0000 0.5000  4 O 2.20-2.23
W 0.8695 0.1955 0.9711  6 O 2.09-2.26
W 0.3695 0.8045 0.5289  6 O 2.09-2.26
W 0.1305 0.8045 0.0289  6 O 2.09-2.26
W 0.5000 0.0000 0.0000  4 O 2.20-2.23
P 0.9356 0.4130 0.2053  4 O 1.52-1.67
P 0.0644 0.5870 0.7947  4 O 1.52-1.67
P 0.6989 0.8744 0.3034  4 O 1.50-1.59
P 0.1989 0.1256 0.1966  4 O 1.50-1.59
P 0.4356 0.5870 0.2947  4 O 1.52-1.67
P 0.5644 0.4130 0.7053  4 O 1.52-1.67
P 0.8011 0.8744 0.8034  4 O 1.50-1.59
P 0.3011 0.1256 0.6966  4 O 1.50-1.59

Values from the calculation:
formation energy	-212	kJ/mol of atoms
crystal system	monoclinic
total DFT energy (no corrections)	-7.2853	eV/atom
M_tot	20.000	Bohr magnetons per cell
V	13.66	A^3/atom


2.
Below is crystalline Rb2CoAgF6 at its relaxed geometry, with properties calculated at the PBE with a Hubbard U level.

Unit cell a=6.0837 b=6.0837 c=6.0837 alpha=60.00 beta=60.00 gamma=60.00
With the nearest neighbours (Å) after each atom.
Atoms (fractional coordinates):
F 0.7797 0.7797 0.2203  1 Co 1.90
F 0.2203 0.2203 0.7797  1 Co 1.90
F 0.2203 0.7797 0.7797  1 Co 1.90
F 0.7797 0.2203 0.2203  1 Co 1.90
F 0.2203 0.7797 0.2203  1 Co 1.90
F 0.7797 0.2203 0.7797  1 Co 1.90
Rb 0.7500 0.7500 0.7500  12 F 3.05
Rb 0.2500 0.2500 0.2500  12 F 3.05
Ag 0.5000 0.5000 0.5000  6 F 2.41
Co 0.0000 0.0000 0.0000  6 F 1.90

Values from the calculation:
formation energy	-228	kJ/mol of atoms
crystal system	cubic
total DFT energy (no corrections)	-4.2577	eV/atom
M_tot	0.000	Bohr magnetons per cell
V	15.92	A^3/atom


3.
Below is crystalline ZnFeS2O16 at its relaxed geometry, with properties calculated at the PBE with a Hubbard U level.

Unit cell a=16.6602 b=7.2003 c=12.2911 alpha=56.89 beta=90.00 gamma=90.00
With the nearest neighbours (Å) after each atom.
Atoms (fractional coordinates):
Zn 0.3311 0.7976 0.8790  3 O 1.86-2.02
Zn 0.1689 0.7976 0.3790  3 O 1.86-2.02
Zn 0.8311 0.2024 0.6210  3 O 1.86-2.02
Zn 0.6689 0.2024 0.1210  3 O 1.86-2.02
O 0.6148 0.7838 0.1011  1 O 1.22
O 0.8163 0.7481 0.6417  1 O 1.22
O 0.9638 0.2905 0.9716  2 Fe 1.83-2.02
O 0.2615 0.7777 0.4909  1 O 1.37
O 0.8842 0.9238 0.9775  1 S 1.50
O 0.5362 0.2905 0.4716  2 Fe 1.83-2.02
O 0.3082 0.0350 0.7050  1 S 1.51
O 0.6036 0.5981 0.8533  1 S 1.51
O 0.7948 0.3522 0.8059  1 O 1.25
O 0.2618 0.7074 0.1148  2 O 1.25-1.37
O 0.0827 0.2894 0.1214  1 S 1.53
O 0.2385 0.7777 0.9909  1 O 1.37
O 0.6158 0.9238 0.4775  1 S 1.50
O 0.5541 0.4444 0.6414  1 Fe 1.80
O 0.4898 0.1465 0.3066  1 S 1.50
O 0.6273 0.9891 0.7537  1 S 1.47
O 0.5142 0.8293 0.8972  1 S 1.49
O 0.4173 0.2894 0.6214  1 S 1.53
O 0.7385 0.2223 0.5091  1 O 1.37
O 0.1273 0.0109 0.7463  1 S 1.47
O 0.5827 0.7106 0.3786  1 S 1.53
O 0.1036 0.4019 0.6467  1 S 1.51
O 0.1148 0.2162 0.3989  1 O 1.22
O 0.3852 0.2162 0.8989  1 O 1.22
O 0.4858 0.1707 0.1028  1 S 1.49
O 0.6918 0.9650 0.2950  1 S 1.51
O 0.2948 0.6478 0.6941  1 O 1.25
O 0.9173 0.7106 0.8786  1 S 1.53
O 0.9459 0.4444 0.1414  1 Fe 1.80
O 0.4638 0.7095 0.5284  2 Fe 1.83-2.02
O 0.7618 0.2926 0.3852  2 O 1.25-1.37
O 0.2937 0.3668 0.4913  1 S 1.44
O 0.4459 0.5556 0.3586  1 Fe 1.80
O 0.3163 0.2519 0.8583  1 O 1.22
O 0.2382 0.7074 0.6148  2 O 1.25-1.37
O 0.8964 0.5981 0.3533  1 S 1.51
O 0.1158 0.0762 0.0225  1 S 1.50
O 0.7063 0.6332 0.5087  1 S 1.44
O 0.8727 0.9891 0.2537  1 S 1.47
O 0.6837 0.7481 0.1417  1 O 1.22
O 0.2052 0.6478 0.1941  1 O 1.25
O 0.8852 0.7838 0.6011  1 O 1.22
O 0.7382 0.2926 0.8852  2 O 1.25-1.37
O 0.7937 0.6332 0.0087  1 S 1.44
O 0.3964 0.4019 0.1467  1 S 1.51
O 0.1918 0.0350 0.2050  1 S 1.51
O 0.3842 0.0762 0.5225  1 S 1.50
O 0.8082 0.9650 0.7950  1 S 1.51
O 0.7615 0.2223 0.0091  1 O 1.37
O 0.0142 0.1707 0.6028  1 S 1.49
O 0.5102 0.8535 0.6934  1 S 1.50
O 0.9119 0.4149 0.5617  1 Zn 1.86
O 0.0881 0.5851 0.4383  1 Zn 1.86
O 0.1837 0.2519 0.3583  1 O 1.22
O 0.7052 0.3522 0.3059  1 O 1.25
O 0.0362 0.7095 0.0284  2 Fe 1.83-2.02
O 0.9898 0.8535 0.1934  1 S 1.50
O 0.5881 0.4149 0.0617  1 Zn 1.86
O 0.2063 0.3668 0.9913  1 S 1.44
O 0.3727 0.0109 0.2463  1 S 1.47
O 0.9858 0.8293 0.3972  1 S 1.49
O 0.0541 0.5556 0.8586  1 Fe 1.80
O 0.4119 0.5851 0.9383  1 Zn 1.86
O 0.0102 0.1465 0.8066  1 S 1.50
S 0.4359 0.1794 0.2001  4 O 1.47-1.51
S 0.9359 0.8206 0.2999  4 O 1.47-1.51
S 0.8502 0.8015 0.9213  4 O 1.44-1.53
S 0.5641 0.8206 0.7999  4 O 1.47-1.51
S 0.1498 0.1985 0.0787  4 O 1.44-1.53
S 0.6498 0.8015 0.4213  4 O 1.44-1.53
S 0.3502 0.1985 0.5787  4 O 1.44-1.53
S 0.0641 0.1794 0.7001  4 O 1.47-1.51
Fe 0.5000 0.5000 0.5000  6 O 1.80-1.99
Fe 0.0000 0.5000 0.0000  6 O 1.80-1.99
Fe 0.0000 0.0000 0.0000  6 O 2.01-2.07
Fe 0.5000 0.0000 0.5000  6 O 2.01-2.07

Values from the calculation:
formation energy	-41	kJ/mol of atoms
crystal system	monoclinic
total DFT energy (no corrections)	-5.1660	eV/atom
M_tot	39.994	Bohr magnetons per cell
V	15.44	A^3/atom